Material: Na4Bi2C4SO16
Method: DFT, PBE
State: optimized geometry

Computed properties:
Size of the total moment, Bohr magnetons per cell: 0.00
Energy above the most stable polymorph in this dataset, kcal/mol of atoms: 0.15
Symmetry: P1, No. 1
DFT formation energy, eV per atom: -1.93

Cell lengths 10.209, 10.281, 10.290 Å; angles 118.93, 118.77, 90.98 degrees
Element x y z (fractional)
1 Na 0.834 0.080 0.761
2 Na 0.836 0.081 0.154
3 Na 0.426 0.077 0.751
4 Na 0.567 0.328 0.252
5 Na 0.826 0.672 0.751
6 Na 0.420 0.662 0.735
7 Na 0.570 0.924 0.254
8 Na 0.186 0.923 0.252
9 Bi 0.004 0.503 0.499
10 Bi 0.007 0.496 0.006
11 Bi 0.495 0.500 0.998
12 Bi 0.004 0.000 0.506
13 C 0.837 0.276 0.557
14 C 0.771 0.326 0.057
15 C 0.771 0.716 0.439
16 C 0.783 0.734 0.062
17 C 0.219 0.279 0.559
18 C 0.219 0.272 0.935
19 C 0.221 0.666 0.937
20 C 0.170 0.730 0.444
21 S 0.377 0.123 0.252
22 S 0.630 0.878 0.758
23 O 0.826 0.145 0.428
24 O 0.889 0.322 0.039
25 O 0.853 0.284 0.693
26 O 0.783 0.324 0.188
27 O 0.832 0.398 0.547
28 O 0.435 0.058 0.366
29 O 0.446 0.068 0.140
30 O 0.640 0.328 0.941
31 O 0.887 0.711 0.565
32 O 0.798 0.617 0.948
33 O 0.202 0.060 0.135
34 O 0.436 0.298 0.367
35 O 0.351 0.271 0.943
36 O 0.222 0.146 0.549
37 O 0.899 0.867 0.189
38 O 0.652 0.589 0.301
39 O 0.339 0.405 0.687
40 O 0.092 0.151 0.807
41 O 0.649 0.722 0.050
42 O 0.776 0.849 0.450
43 O 0.576 0.704 0.646
44 O 0.808 0.938 0.876
45 O 0.091 0.280 0.440
46 O 0.217 0.399 0.054
47 O 0.353 0.679 0.064
48 O 0.575 0.944 0.647
49 O 0.569 0.935 0.876
50 O 0.178 0.612 0.459
51 O 0.212 0.651 0.800
52 O 0.148 0.719 0.303
53 O 0.097 0.666 0.946
54 O 0.183 0.864 0.572